The following is a PBE with a Hubbard U calculation of a relaxed Li4Ti3Fe2Co3O16 crystal, from the Materials Project.

Summary:
Energy of formation = -6093 kJ/mol of formula units
Volume = 10.194 Å³ per atom
Total energy = -6.839 eV/atom

```
28
Lattice="5.8226 0.0000 0.0000 -2.8363 5.1153 0.0000 -0.0609 -0.0790 9.5831" Properties=species:S:1:pos:R:3 pbc="T T T"
Li 0.0000 0.0000 0.0000
Li -2.8412 5.0697 4.7637
Li 0.0991 3.3290 5.7362
Li 3.0396 1.6646 1.0126
Ti -1.2904 4.1943 2.6728
Ti 1.5380 0.7537 7.4630
Ti 3.0028 3.2811 7.4690
Fe 0.1642 3.3582 0.0553
Fe 2.9715 1.6115 4.8234
Co 0.0837 1.6767 2.6847
Co 1.5503 4.1893 2.7126
Co 4.3782 0.7777 7.5111
O -2.8569 5.0497 6.5681
O -1.1744 2.6209 1.4998
O -1.3929 4.1800 8.5582
O 0.0805 1.5711 8.5732
O 1.4792 0.7505 3.7741
O 0.1284 3.3876 3.7424
O 0.1660 4.8794 1.5337
O 1.4498 2.6823 1.5573
O 2.9040 0.0980 6.2799
O 1.6698 2.3730 6.3305
O 2.9690 1.6026 8.5382
O 1.5792 4.1382 8.5516
O 4.4104 0.6952 3.7087
O 2.9712 3.3945 3.7481
O 4.2518 2.4152 6.2491
O 2.9970 5.0089 1.7828
```